i:
Here is a relaxed structure of CsCrI3 from the Materials Project. Energies are from PBE-GGA.

Cell lengths 8.288, 14.112, 7.045 Å; angles 90.00, 90.00, 90.00 degrees
Space group Pbcn (No. 60)
One atom of each set of equivalent atoms:
Cs1 0.000 0.166 0.250 x4
Cr1 0.000 0.500 0.000 x4
I1 0.000 0.344 0.750 x4
I2 0.244 0.417 0.215 x8

Results
Magnetic moment   16.004 μB per cell

=====

ii:
Here is a relaxed structure of CsCrI3 from the Materials Project. Energies are from PBE-GGA.

Cell lengths 11.019, 16.495, 6.826 Å; angles 90.00, 90.00, 90.00 degrees
Space group Pbcn (No. 60)
One atom of each set of equivalent atoms:
Cs1 0.000 0.125 0.250 x4
Cr1 0.000 0.500 0.000 x4
I1 0.000 0.376 0.250 x4
I2 0.158 0.090 0.749 x8

Results
Magnetic moment   16.000 μB per cell

=====

Most stable pick: i. Distance to second place: 0.497 eV/atom.

=====

i:
Here is a relaxed structure of CsCr5S8 from the Materials Project. Energies are from PBE-GGA.

Cell lengths 18.369, 3.513, 8.917 Å; angles 90.00, 102.99, 90.00 degrees
Space group C2/m (No. 12)
One atom of each set of equivalent atoms:
Cs1 0.000 0.000 0.000 x2
Cr1 0.000 0.000 0.500 x2
Cr2 0.162 0.500 0.487 x4
Cr3 0.205 0.500 0.835 x4
S1 0.075 0.500 0.652 x4
S2 0.094 0.000 0.352 x4
S3 0.178 0.000 0.989 x4
S4 0.239 0.000 0.657 x4

Results
Magnetic moment   30.007 μB per cell

=====

ii:
Here is a relaxed structure of CsCr5S8 from the Materials Project. Energies are from PBE-GGA.

Cell lengths 18.107, 3.525, 8.841 Å; angles 90.00, 104.90, 90.00 degrees
Space group C2/m (No. 12)
One atom of each set of equivalent atoms:
Cs1 0.000 0.000 0.000 x2
Cr1 0.000 0.500 0.500 x2
Cr2 0.160 0.000 0.480 x4
Cr3 0.205 0.000 0.835 x4
S1 0.076 0.000 0.649 x4
S2 0.089 0.500 0.339 x4
S3 0.174 0.500 0.985 x4
S4 0.239 0.500 0.657 x4

=====

Most stable pick: ii. Distance to second place: 0.040 eV/atom.

=====

i:
Here is a relaxed structure of CsCr2S4 from the Materials Project. Energies are from PBE-GGA.

Cell lengths 11.156, 11.156, 11.156 Å; angles 90.00, 90.00, 90.00 degrees
Space group Fd-3m (No. 227, origin choice 2)
One atom of each set of equivalent atoms:
Cs1 0.125 0.125 0.125 x8
Cr1 0.000 0.000 0.500 x16
S1 0.031 0.031 0.719 x32

Results
Magnetic moment   39.969 μB per cell

=====

ii:
Here is a relaxed structure of CsCr2S4 from the Materials Project. Energies are from PBE-GGA.

Cell lengths 16.607, 3.583, 5.852 Å; angles 90.00, 103.23, 90.00 degrees
Space group C2/m (No. 12)
One atom of each set of equivalent atoms:
Cs1 0.000 0.000 0.000 x2
Cr1 0.246 0.500 0.729 x4
S1 0.163 0.000 0.527 x4
S2 0.176 0.500 0.045 x4

Results
Magnetic moment   10.010 μB per cell

=====

iii:
Here is a relaxed structure of CsCr2S4 from the Materials Project. Energies are from PBE-GGA.

Cell lengths 12.069, 3.595, 13.288 Å; angles 90.00, 90.00, 90.00 degrees
Space group Pnma (No. 62)
One atom of each set of equivalent atoms:
Cs1 0.243 0.250 0.163 x4
Cr1 0.069 0.250 0.896 x4
Cr2 0.072 0.250 0.399 x4
S1 0.021 0.750 0.785 x4
S2 0.054 0.250 0.575 x4
S3 0.099 0.750 0.009 x4
S4 0.204 0.750 0.377 x4

Results
Magnetic moment   20.000 μB per cell

=====

iv:
Here is a relaxed structure of CsCr2S4 from the Materials Project. Energies are from PBE-GGA.

Cell lengths 6.996, 16.714, 5.982 Å; angles 90.00, 90.00, 90.00 degrees
Space group Pmmn (No. 59, origin choice 2)
One atom of each set of equivalent atoms:
Cs1 0.250 0.250 0.040 x2
Cs2 0.250 0.750 0.344 x2
Cr1 0.000 0.000 0.500 x4
Cr2 0.250 0.501 0.994 x4
S1 0.001 0.078 0.832 x8
S2 0.250 0.077 0.339 x4
S3 0.250 0.578 0.670 x4

=====

Most stable pick: iv. Distance to second place: 0.028 eV/atom.

=====

i:
Here is a relaxed structure of HfCrCuS4 from the Materials Project. Energies are from PBE-GGA.

Cell lengths 6.491, 7.417, 12.396 Å; angles 98.44, 94.85, 90.20 degrees
Space group P1 (No. 1)
One atom of each set of equivalent atoms:
Hf1 0.000 0.000 0.000 x1
Hf2 0.093 0.179 0.696 x1
Hf3 0.492 0.728 0.995 x1
Hf4 0.720 0.589 0.399 x1
Cr1 0.224 0.332 0.401 x1
Cr2 0.225 0.852 0.404 x1
Cr3 0.481 0.246 0.990 x1
Cr4 0.616 0.410 0.698 x1
Cu1 0.112 0.659 0.699 x1
Cu2 0.601 0.920 0.691 x1
Cu3 0.735 0.093 0.403 x1
Cu4 0.984 0.487 0.992 x1
S1 0.050 0.072 0.335 x1
S2 0.064 0.577 0.332 x1
S3 0.165 0.749 0.075 x1
S4 0.178 0.276 0.074 x1
S5 0.254 0.884 0.586 x1
S6 0.275 0.392 0.587 x1
S7 0.465 0.683 0.798 x1
S8 0.467 0.196 0.803 x1
S9 0.537 0.838 0.330 x1
S10 0.539 0.310 0.329 x1
S11 0.664 0.016 0.074 x1
S12 0.680 0.499 0.074 x1
S13 0.748 0.144 0.591 x1
S14 0.756 0.636 0.595 x1
S15 0.949 0.447 0.805 x1
S16 0.968 0.936 0.805 x1

Results
Magnetic moment   12.004 μB per cell

=====

ii:
Here is a relaxed structure of HfCrCuS4 from the Materials Project. Energies are from PBE-GGA.

Cell lengths 7.214, 7.241, 10.036 Å; angles 90.00, 90.00, 90.00 degrees
Space group I2_12_12_1 (No. 24)
One atom of each set of equivalent atoms:
Hf1 0.250 0.237 0.000 x4
Cr1 0.002 0.500 0.750 x4
Cu1 0.000 0.250 0.373 x4
S1 0.008 0.495 0.993 x8
S2 0.228 0.249 0.748 x8

Results
Magnetic moment   11.999 μB per cell

=====

Most stable pick: ii. Distance to second place: 0.266 eV/atom.

=====

i:
Here is a relaxed structure of HfCrCuS4 from the Materials Project. Energies are from PBE-GGA.

Cell lengths 7.316, 6.650, 11.512 Å; angles 90.00, 90.00, 90.00 degrees
Space group Pmn2_1 (No. 31)
One atom of each set of equivalent atoms:
Hf1 0.000 0.172 0.000 x2
Hf2 0.000 0.299 0.702 x2
Cr1 0.000 0.653 0.541 x2
Cr2 0.000 0.803 0.786 x2
Cu1 0.000 0.034 0.387 x2
Cu2 0.000 0.565 0.109 x2
S1 0.000 0.350 0.473 x2
S2 0.000 0.514 0.909 x2
S3 0.000 0.899 0.127 x2
S4 0.000 0.975 0.605 x2
S5 0.213 0.063 0.846 x4
S6 0.231 0.593 0.677 x4

Results
Magnetic moment   11.998 μB per cell

=====

ii:
Here is a relaxed structure of HfCrCuS4 from the Materials Project. Energies are from PBE-GGA.

Cell lengths 3.549, 11.314, 12.728 Å; angles 90.00, 90.00, 90.00 degrees
Space group Pmn2_1 (No. 31)
One atom of each set of equivalent atoms:
Hf1 0.000 0.140 0.000 x2
Hf2 0.000 0.687 0.192 x2
Cr1 0.000 0.208 0.460 x2
Cr2 0.000 0.682 0.670 x2
Cu1 0.000 0.446 0.402 x2
Cu2 0.000 0.973 0.221 x2
S1 0.000 0.162 0.641 x2
S2 0.000 0.293 0.288 x2
S3 0.000 0.353 0.044 x2
S4 0.000 0.459 0.744 x2
S5 0.000 0.640 0.001 x2
S6 0.000 0.830 0.360 x2
S7 0.000 0.890 0.643 x2
S8 0.000 0.925 0.928 x2

Results
Magnetic moment   12.003 μB per cell

=====

Most stable pick: ii. Distance to second place: 0.173 eV/atom.

=====

i:
Here is a relaxed structure of HfCrCuS4 from the Materials Project. Energies are from PBE-GGA.

Cell lengths 7.202, 7.236, 10.138 Å; angles 90.00, 90.00, 90.00 degrees
Space group Imma (No. 74)
One atom of each set of equivalent atoms:
Hf1 0.250 0.250 0.250 x4
Cr1 0.000 0.000 0.000 x4
Cu1 0.000 0.250 0.621 x4
S1 0.000 0.003 0.240 x8
S2 0.230 0.250 0.999 x8

Results
Magnetic moment   11.999 μB per cell

=====

ii:
Here is a relaxed structure of HfCrCuS4 from the Materials Project. Energies are from PBE-GGA.

Cell lengths 6.456, 7.392, 12.550 Å; angles 81.34, 84.81, 89.96 degrees
Space group P-1 (No. 2)
One atom of each set of equivalent atoms:
Hf1 0.138 0.201 0.198 x2
Hf2 0.242 0.377 0.501 x2
Cr1 0.365 0.541 0.801 x2
Cr2 0.366 0.060 0.795 x2
Cu1 0.125 0.699 0.200 x2
Cu2 0.258 0.873 0.497 x2
S1 0.101 0.145 0.393 x2
S2 0.103 0.652 0.388 x2
S3 0.191 0.280 0.865 x2
S4 0.204 0.785 0.871 x2
S5 0.318 0.479 0.126 x2
S6 0.322 0.955 0.131 x2
S7 0.398 0.094 0.613 x2
S8 0.401 0.599 0.612 x2

Results
Magnetic moment   12.001 μB per cell

=====

Most stable pick: i. Distance to second place: 0.257 eV/atom.